RbLiMg6O7: optimized geometry, PBE.

## Properties
The value obtained for the energy relative to the elements is -2339 meV per atom. The calculation puts the volume at 13.53 A^3/atom.

Cell: 4.146 4.146 11.814 Å, 90.00 90.00 90.00°
Atoms (fractional coordinates):
Rb 0.500 0.500 0.959
Li 0.000 0.000 0.088
Mg 0.000 0.000 0.498
Mg 0.500 0.500 0.477
Mg 0.000 0.500 0.264
Mg 0.000 0.500 0.671
Mg 0.500 0.000 0.264
Mg 0.500 0.000 0.671
O 0.000 0.000 0.679
O 0.500 0.500 0.306
O 0.500 0.500 0.685
O 0.000 0.500 0.103
O 0.000 0.500 0.491
O 0.500 0.000 0.103
O 0.500 0.000 0.491